Arrangement i

Material: Li3Fe8B8O24
Method: DFT, PBE with a Hubbard U
State: optimized geometry

Values from the calculation:
Mass density ... 3.22 g cm⁻³

a = 5.2277 Å, b = 5.2485 Å, c = 20.2301 Å
α = 90.68°, β = 89.75°, γ = 119.23°
Atoms (fractional coordinates):
O 0.6928 0.7604 0.1882
O 0.8839 0.2690 0.7171
O 0.0873 0.7465 0.2901
O 0.5893 0.9752 0.3308
O 0.9894 0.4036 0.9150
O 0.2699 0.8765 0.9648
O 0.2698 0.3602 0.5578
O 0.3018 0.2360 0.8158
O 0.2522 0.9237 0.4607
O 0.0108 0.6017 0.0853
O 0.9729 0.5759 0.5899
O 0.4009 0.9871 0.1640
O 0.0234 0.4203 0.4226
O 0.2339 0.3002 0.0652
O 0.7134 0.7745 0.6807
O 0.8878 0.2732 0.2068
O 0.7695 0.7052 0.9355
O 0.7360 0.6589 0.4328
O 0.7327 0.1264 0.0365
O 0.4020 0.9854 0.6709
O 0.1176 0.7306 0.7901
O 0.3517 0.2614 0.3171
O 0.5967 0.0095 0.8376
O 0.7433 0.0757 0.5498
Fe 0.3273 0.0002 0.0641
Fe 0.0006 0.6735 0.1881
Fe 0.6743 0.0033 0.9392
Fe 0.9995 0.3281 0.8161
Fe 0.0126 0.6735 0.6918
Fe 0.3162 0.0042 0.5661
Fe 0.0093 0.3194 0.3095
Fe 0.6781 0.0071 0.4392
Li 0.6481 0.6738 0.5836
Li 0.3328 0.3432 0.4514
Li 0.6746 0.6512 0.3265
B 0.0011 0.3433 0.0629
B 0.6661 0.0063 0.6901
B 0.0046 0.6689 0.4389
B 0.0021 0.6628 0.9388
B 0.9956 0.3341 0.5655
B 0.3450 0.9980 0.3126
B 0.6632 0.0029 0.1863
B 0.3396 0.0003 0.8148



Arrangement ii

Material: Li3Fe8B8O24
Method: DFT, PBE with a Hubbard U
State: optimized geometry

Values from the calculation:
Mass density ... 3.21 g cm⁻³

a = 5.2872 Å, b = 9.0711 Å, c = 11.3597 Å
α = 113.33°, β = 102.86°, γ = 89.81°
Atoms (fractional coordinates):
O 0.3966 0.6526 0.9356
O 0.0213 0.3511 0.6267
O 0.8564 0.9699 0.5724
O 0.6350 0.3748 0.0834
O 0.8650 0.1354 0.9159
O 0.2344 0.9801 0.8855
O 0.6904 0.4577 0.8502
O 0.6317 0.5256 0.4310
O 0.3806 0.4743 0.5873
O 0.5476 0.8595 0.6485
O 0.2206 0.2192 0.8456
O 0.0280 0.6289 0.6627
O 0.2809 0.5400 0.1318
O 0.4737 0.8779 0.3256
O 0.3046 0.3046 0.1773
O 0.7527 0.0027 0.1060
O 0.6938 0.7108 0.8273
O 0.9273 0.6456 0.3550
O 0.7957 0.7776 0.1724
O 0.1206 0.8502 0.0854
O 0.9765 0.3791 0.3431
O 0.4597 0.1627 0.3854
O 0.5572 0.1385 0.6793
O 0.1318 0.0137 0.4185
Fe 0.4062 0.7349 0.1267
Fe 0.5937 0.2741 0.8802
Fe 0.1528 0.1502 0.6289
Fe 0.6513 0.6534 0.6284
Fe 0.8477 0.8600 0.3835
Fe 0.3493 0.3536 0.3729
Fe 0.0984 0.7745 0.8757
Fe 0.9019 0.2149 0.1319
B 0.1090 0.1091 0.8819
B 0.3536 0.0206 0.3750
B 0.1385 0.4823 0.6250
B 0.6519 0.9855 0.6332
B 0.5944 0.6040 0.8718
B 0.8894 0.8835 0.1236
B 0.4050 0.4061 0.1301
B 0.8499 0.5188 0.3787
Li 0.6004 0.9450 0.9042
Li 0.9351 0.5698 0.1655
Li 0.6750 0.3330 0.6522



Most stable pick: arrangement ii. Distance to second place: 6 meV/atom.



Arrangement i

Material: Na2NiPCO7
Method: DFT, PBE with a Hubbard U
State: optimized geometry

Values from the calculation:
Mass density ... 2.83 g cm⁻³

a = 5.1486 Å, b = 11.0742 Å, c = 11.1707 Å
α = 73.19°, β = 88.65°, γ = 88.76°
Atoms (fractional coordinates):
P 0.2850 0.6673 0.9156
P 0.7170 0.3355 0.0855
P 0.7193 0.8383 0.5871
P 0.2844 0.1629 0.4125
O 0.7875 0.6949 0.6332
O 0.8538 0.4104 0.1631
O 0.2062 0.8087 0.8698
O 0.7886 0.3847 0.9448
O 0.5813 0.1482 0.3866
O 0.6842 0.3480 0.5835
O 0.4729 0.0387 0.7880
O 0.5240 0.9604 0.2127
O 0.3122 0.6551 0.4103
O 0.9410 0.4412 0.6905
O 0.2229 0.1188 0.5539
O 0.1504 0.5908 0.8390
O 0.3202 0.1580 0.9084
O 0.5865 0.6526 0.9006
O 0.0568 0.0622 0.8067
O 0.4145 0.3510 0.1028
O 0.4815 0.5398 0.2890
O 0.2152 0.3067 0.3715
O 0.7899 0.1934 0.1294
O 0.4186 0.8552 0.6042
O 0.1395 0.0888 0.3373
O 0.7914 0.8818 0.4458
O 0.2088 0.6190 0.0565
O 0.6883 0.8444 0.0914
O 0.8630 0.9111 0.6632
O 0.0606 0.5561 0.3071
O 0.9437 0.9418 0.1952
O 0.5143 0.4576 0.7090
Ni 0.7806 0.0483 0.2985
Ni 0.2195 0.4503 0.1999
Ni 0.7801 0.5515 0.8012
Ni 0.2168 0.9567 0.6981
Na 0.7587 0.8736 0.8774
Na 0.2444 0.8688 0.3849
Na 0.2480 0.3730 0.8886
Na 0.2125 0.3147 0.5954
Na 0.7493 0.3522 0.3794
Na 0.2433 0.1320 0.1195
Na 0.2490 0.6383 0.6234
Na 0.7569 0.6311 0.1158
C 0.7121 0.4134 0.6583
C 0.7175 0.9119 0.1628
C 0.2867 0.5876 0.3383
C 0.2851 0.0883 0.8392



Arrangement ii

Material: Na2NiPCO7
Method: DFT, PBE with a Hubbard U
State: optimized geometry

Values from the calculation:
Mass density ... 2.83 g cm⁻³

a = 6.5169 Å, b = 9.0120 Å, c = 10.3661 Å
α = 88.55°, β = 90.00°, γ = 90.00°
Atoms (fractional coordinates):
P 0.5016 0.4229 0.8562
P 0.9993 0.5735 0.1410
P 0.0007 0.5735 0.6410
P 0.4984 0.4229 0.3562
O 0.4944 0.5702 0.4287
O 0.8111 0.6716 0.6056
O 0.6911 0.3217 0.8809
O 0.0029 0.5408 0.7903
O 0.0018 0.9328 0.8400
O 0.4986 0.4615 0.7081
O 0.1889 0.6716 0.1056
O 0.3148 0.3252 0.8970
O 0.8121 0.6718 0.1035
O 0.9962 0.4273 0.5674
O 0.4997 0.8330 0.7424
O 0.0124 0.1303 0.9708
O 0.5014 0.4615 0.2081
O 0.4829 0.0656 0.1565
O 0.0041 0.1705 0.2638
O 0.1879 0.6718 0.6035
O 0.9876 0.1303 0.4708
O 0.5010 0.8657 0.5304
O 0.9959 0.1705 0.7638
O 0.0038 0.4273 0.0674
O 0.6852 0.3252 0.3970
O 0.5171 0.0656 0.6565
O 0.5056 0.5702 0.9287
O 0.9982 0.9328 0.3400
O 0.9971 0.5408 0.2903
O 0.3089 0.3217 0.3809
O 0.4990 0.8657 0.0304
O 0.5003 0.8330 0.2424
Na 0.4957 0.0900 0.3947
Na 0.2339 0.7382 0.8762
Na 0.5043 0.0900 0.8947
Na 0.2698 0.2672 0.1278
Na 0.7687 0.7387 0.8742
Na 0.2313 0.7387 0.3742
Na 0.7661 0.7382 0.3762
Na 0.7302 0.2672 0.6278
C 0.9962 0.0712 0.3579
C 0.4937 0.9266 0.1440
C 0.5063 0.9266 0.6440
C 0.0038 0.0712 0.8579
Ni 0.5026 0.6516 0.1109
Ni 0.4974 0.6516 0.6109
Ni 0.0018 0.3424 0.8897
Ni 0.9982 0.3424 0.3897



Most stable pick: arrangement i. Distance to second place: 11 meV/atom.



Arrangement i

Material: MgMn6O10F2
Method: DFT, PBE with a Hubbard U
State: optimized geometry

Values from the calculation:
Mass density ... 4.32 g cm⁻³

a = 7.0177 Å, b = 5.6765 Å, c = 5.8308 Å
α = 82.70°, β = 71.59°, γ = 74.72°
Atoms (fractional coordinates):
Mn 0.0050 0.9325 0.0499
Mn 0.5152 0.9861 0.0012
Mn 0.1654 0.3328 0.3378
Mn 0.6747 0.2907 0.3727
Mn 0.3382 0.7383 0.5977
Mn 0.8344 0.6697 0.6425
O 0.3623 0.4103 0.4831
O 0.2884 0.9594 0.8590
O 0.6347 0.5929 0.5230
O 0.0236 0.6752 0.3322
O 0.0505 0.7134 0.7913
O 0.6903 0.9999 0.6692
O 0.3181 0.0005 0.3213
O 0.9790 0.2507 0.1849
O 0.7116 0.0525 0.1447
O 0.9786 0.3227 0.6392
F 0.6711 0.6132 0.9775
F 0.3466 0.3837 0.0042
Mg 0.1623 0.3375 0.8310



Arrangement ii

Material: MgMn6O10F2
Method: DFT, PBE with a Hubbard U
State: optimized geometry

Values from the calculation:
Mass density ... 4.22 g cm⁻³

a = 8.2086 Å, b = 5.7260 Å, c = 5.8742 Å
α = 67.37°, β = 63.36°, γ = 64.94°
Atoms (fractional coordinates):
O 0.9699 0.3192 0.6843
O 0.3876 0.4052 0.4872
O 0.6291 0.6429 0.0392
O 0.9331 0.2566 0.1824
O 0.0460 0.7648 0.7978
O 0.6891 0.0442 0.6657
O 0.7112 0.0886 0.1481
O 0.3137 0.9338 0.3340
O 0.3450 0.3922 0.9991
O 0.5980 0.5820 0.5387
Mn 0.9717 0.0342 0.9752
Mn 0.3331 0.6550 0.6588
Mn 0.1060 0.2919 0.3089
Mn 0.8543 0.6828 0.7122
Mn 0.6629 0.3318 0.3562
Mn 0.5311 0.0324 0.0312
Mg 0.3445 0.6519 0.1577
F 0.2751 0.9250 0.8566
F 0.0395 0.7154 0.3048



Most stable pick: arrangement i. Distance to second place: 38 meV/atom.



Arrangement i

Material: MgMn6O10F2
Method: DFT, PBE with a Hubbard U
State: optimized geometry

Values from the calculation:
Mass density ... 4.15 g cm⁻³

a = 12.0248 Å, b = 6.4016 Å, c = 2.9567 Å
α = 90.00°, β = 90.03°, γ = 104.12°
Atoms (fractional coordinates):
Mn 0.6668 0.3336 0.0042
Mn 0.3561 0.6965 0.9937
Mn 0.9773 0.9699 0.9943
Mn 0.9477 0.4487 0.4857
Mn 0.3858 0.2179 0.4855
Mn 0.6668 0.8332 0.5095
O 0.3662 0.3997 0.9910
O 0.5587 0.2725 0.5018
O 0.6571 0.6335 0.0083
O 0.3441 0.0069 0.9811
O 0.6764 0.0331 0.0082
O 0.9895 0.6599 0.9815
O 0.7749 0.3942 0.5015
O 0.0957 0.9985 0.4356
O 0.2380 0.6682 0.4360
O 0.9673 0.2669 0.9915
F 0.8584 0.9025 0.5347
F 0.4752 0.7641 0.5337
Mg 0.1668 0.8335 0.9347



Arrangement ii

Material: MgMn6O10F2
Method: DFT, PBE with a Hubbard U
State: optimized geometry

Values from the calculation:
Mass density ... 4.02 g cm⁻³

a = 5.1790 Å, b = 5.1603 Å, c = 8.8243 Å
α = 92.34°, β = 87.24°, γ = 104.52°
Atoms (fractional coordinates):
O 0.8646 0.1324 0.5133
O 0.3122 0.3046 0.9981
O 0.7113 0.6802 0.3312
O 0.8372 0.1679 0.1732
O 0.1437 0.8576 0.1549
O 0.6890 0.7011 0.0050
O 0.6883 0.6854 0.6704
O 0.1663 0.8304 0.8319
O 0.3197 0.2866 0.3312
O 0.3142 0.3025 0.6649
Mg 0.6966 0.2958 0.6774
Mn 0.4510 0.5455 0.4899
Mn 0.0009 0.0006 0.0068
Mn 0.0334 0.9647 0.6592
Mn 0.9887 0.0095 0.3214
Mn 0.4139 0.5963 0.8569
Mn 0.5525 0.4452 0.1631
F 0.1979 0.7967 0.4713
F 0.8271 0.1749 0.8512



Most stable pick: arrangement i. Distance to second place: 63 meV/atom.



Arrangement i

Material: Co2As2O7
Method: DFT, PBE with a Hubbard U
State: optimized geometry

Values from the calculation:
Mass density ... 4.64 g cm⁻³

a = 5.4442 Å, b = 5.4594 Å, c = 9.7159 Å
α = 97.21°, β = 97.44°, γ = 105.56°
Atoms (fractional coordinates):
As 0.7587 0.7620 0.5498
As 0.7587 0.7620 0.0498
As 0.2387 0.2355 0.9501
As 0.2388 0.2355 0.4500
O 0.0034 0.9999 0.5034
O 0.4052 0.0703 0.3550
O 0.0034 0.9999 0.0034
O 0.9280 0.5990 0.6467
O 0.5936 0.9297 0.1445
O 0.4067 0.4053 0.6121
O 0.4067 0.4053 0.1121
O 0.0701 0.3984 0.8531
O 0.5937 0.9296 0.6445
O 0.5956 0.5984 0.3858
O 0.0702 0.3985 0.3531
O 0.9280 0.5991 0.1468
O 0.4051 0.0703 0.8550
O 0.5956 0.5984 0.8858
Co 0.6933 0.3105 0.7503
Co 0.6932 0.3105 0.2503
Co 0.3065 0.6909 0.2491
Co 0.3068 0.6910 0.7490



Arrangement ii

Material: Co2As2O7
Method: DFT, PBE with a Hubbard U
State: optimized geometry

Values from the calculation:
Mass density ... 4.64 g cm⁻³

a = 5.4077 Å, b = 7.8046 Å, c = 16.2929 Å
α = 82.95°, β = 88.72°, γ = 85.35°
Atoms (fractional coordinates):
Co 0.4055 0.2577 0.2614
Co 0.8375 0.4066 0.8667
Co 0.2255 0.6089 0.4615
Co 0.0054 0.9679 0.3384
Co 0.3802 0.1786 0.9366
Co 0.6198 0.8214 0.0634
Co 0.9946 0.0321 0.6616
Co 0.1625 0.5934 0.1333
Co 0.5945 0.7423 0.7386
Co 0.7745 0.3911 0.5385
O 0.7810 0.9529 0.7715
O 0.5520 0.6428 0.5216
O 0.4424 0.3712 0.1408
O 0.8966 0.5587 0.7458
O 0.2199 0.1572 0.3729
O 0.3517 0.0512 0.0574
O 0.1570 0.4330 0.9237
O 0.2517 0.1469 0.7157
O 0.1034 0.4413 0.2542
O 0.0846 0.7761 0.8762
O 0.4152 0.7415 0.1750
O 0.4480 0.3572 0.4784
O 0.2521 0.8029 0.6763
O 0.5974 0.5086 0.2946
O 0.6483 0.9488 0.9426
O 0.9436 0.4580 0.4217
O 0.8430 0.5670 0.0763
O 0.3570 0.6674 0.0213
O 0.2707 0.7522 0.3480
O 0.7293 0.2478 0.6520
O 0.5000 0.0000 0.5000
O 0.7479 0.1971 0.3237
O 0.0563 0.1350 0.8834
O 0.7801 0.8428 0.6271
O 0.5848 0.2585 0.8250
O 0.7483 0.8531 0.2843
O 0.9154 0.2239 0.1238
O 0.9437 0.8650 0.1166
O 0.6430 0.3326 0.9787
O 0.0425 0.1626 0.5398
O 0.5576 0.6288 0.8592
O 0.0564 0.5420 0.5783
O 0.4026 0.4914 0.7054
O 0.9575 0.8374 0.4602
O 0.2190 0.0471 0.2285
As 0.1185 0.6099 0.6718
As 0.8815 0.3901 0.3282
As 0.2906 0.1783 0.4738
As 0.4922 0.2633 0.7237
As 0.8819 0.9676 0.8699
As 0.7094 0.8217 0.5262
As 0.3036 0.6203 0.9238
As 0.1181 0.0324 0.1301
As 0.5078 0.7367 0.2763
As 0.6964 0.3797 0.0762



Most stable pick: arrangement ii. Distance to second place: 5 meV/atom.